1.
Compound: NaAl2Ge2P3S3O24
Source: the Materials Project database
Functional: PBE
Structure: relaxed

Unit cell a=8.320 b=8.319 c=21.662 alpha=90.04 beta=90.09 gamma=120.07
Sites, in units of the cell vectors:
1 O 0.493 0.128 0.639
2 O 0.371 0.503 0.360
3 P 0.379 0.329 0.083
4 O 0.548 0.707 0.972
5 O 0.156 0.185 0.408
6 P 0.290 0.998 0.249
7 O 0.506 0.877 0.362
8 Al 0.668 0.326 0.983
9 O 0.700 0.540 0.529
10 O 0.304 0.824 0.258
11 O 0.464 0.302 0.024
12 O 0.498 0.142 0.923
13 O 0.211 0.044 0.307
14 O 0.135 0.500 0.859
15 Na 0.340 0.671 0.168
16 Ge 0.011 0.994 0.354
17 P 0.332 0.377 0.415
18 O 0.490 0.849 0.075
19 O 0.165 0.710 0.476
20 O 0.360 0.858 0.576
21 O 0.825 0.523 0.741
22 Al 0.326 0.668 0.810
23 O 0.481 0.171 0.243
24 O 0.691 0.171 0.741
25 O 0.164 0.960 0.192
26 O 0.854 0.492 0.426
27 Na 0.664 0.337 0.332
28 O 0.876 0.506 0.139
29 Al 0.652 0.328 0.187
30 O 0.473 0.306 0.741
31 O 0.834 0.809 0.590
32 O 0.522 0.694 0.258
33 O 0.702 0.161 0.025
34 S 0.952 0.620 0.083
35 P 0.712 0.711 0.250
36 P 0.044 0.380 0.915
37 Ge 0.994 0.992 0.649
38 Al 0.666 0.339 0.477
39 O 0.133 0.631 0.360
40 O 0.499 0.643 0.576
41 O 0.039 0.213 0.194
42 O 0.293 0.455 0.476
43 O 0.973 0.806 0.089
44 O 0.170 0.694 0.759
45 O 0.838 0.022 0.092
46 P 0.000 0.712 0.751
47 O 0.296 0.841 0.973
48 O 0.214 0.170 0.805
49 O 0.792 0.961 0.691
50 O 0.795 0.836 0.192
51 O 0.506 0.633 0.861
52 O 0.976 0.165 0.591
53 O 0.852 0.360 0.925
54 O 0.023 0.837 0.410
55 O 0.639 0.139 0.426
56 O 0.356 0.505 0.077
57 S 0.333 0.955 0.916
58 O 0.808 0.833 0.910
59 O 0.369 0.875 0.861
60 O 0.836 0.046 0.807
61 O 0.959 0.798 0.808
62 O 0.173 0.212 0.693
63 S 0.378 0.045 0.583
64 O 0.308 0.472 0.758
65 O 0.143 0.501 0.577
66 O 0.641 0.499 0.924
67 O 0.632 0.129 0.141
68 S 0.999 0.289 0.250
69 O 0.043 0.835 0.692
70 O 0.166 0.472 0.257
71 Al 0.334 0.666 0.312
72 O 0.028 0.186 0.908
73 P 0.044 0.664 0.415
74 S 0.955 0.332 0.583
75 S 0.624 0.956 0.416
76 O 0.834 0.308 0.242
77 P 0.706 0.997 0.750
78 P 0.668 0.046 0.084
79 O 0.461 0.160 0.528
80 O 0.165 0.973 0.909
81 S 0.290 0.291 0.750
82 O 0.167 0.462 0.974
83 O 0.632 0.506 0.639
84 O 0.839 0.298 0.528
85 O 0.874 0.367 0.638
86 S 0.621 0.664 0.915
87 O 0.191 0.027 0.591
88 S 0.664 0.621 0.583
89 Al 0.673 0.334 0.689
90 Ge 0.998 0.999 0.145
91 Ge 0.992 0.001 0.854
92 Na 0.674 0.334 0.834
93 O 0.842 0.542 0.027
94 O 0.521 0.825 0.761
95 O 0.499 0.373 0.140
96 O 0.548 0.841 0.474
97 O 0.699 0.522 0.242
98 O 0.142 0.642 0.077
99 O 0.833 0.797 0.309
100 O 0.502 0.356 0.426
101 Ge 0.325 0.661 0.515
102 O 0.960 0.172 0.307
103 Ge 0.334 0.658 0.022
104 O 0.808 0.977 0.410
105 O 0.183 0.159 0.092

Calculated values
As for the total magnetization: 0.00 μB per formula unit. The space group is P1 (1). The volume comes out at 12.36 Å³ per atom. As for the density: 3.05 g/cm³. As for the total energy: -6.6290 eV/atom.


2.
Compound: NaAuC2
Source: the Materials Project database
Functional: PBE
Structure: relaxed

Unit cell a=3.811 b=3.811 c=5.246 alpha=90.00 beta=90.00 gamma=90.00
Sites, in units of the cell vectors:
1 C 0.000 0.000 0.619
2 Na 0.500 0.500 0.500
3 Au 0.000 0.000 0.000
4 C 0.000 0.000 0.381

Calculated values
As for the total magnetization: 0.00 μB per formula unit. The space group is P4/mmm (123). The volume comes out at 19.04 Å³ per atom. As for the density: 5.32 g/cm³. As for the total energy: -5.5109 eV/atom.


3.
Compound: CdGeP2
Source: the Materials Project database
Functional: PBE
Structure: relaxed

Unit cell a=4.717 b=4.717 c=4.717 alpha=60.00 beta=60.00 gamma=60.00
Sites, in units of the cell vectors:
1 Ge 0.500 0.500 0.500
2 P 0.250 0.250 0.250
3 P 0.750 0.750 0.750
4 Cd 0.000 0.000 0.000

Calculated values
As for the total magnetization: 0.00 μB per formula unit. The space group is Fm-3m (225). The volume comes out at 18.55 Å³ per atom. As for the density: 5.53 g/cm³. As for the total energy: -3.5915 eV/atom.


4.
Compound: LiBP2Pb4O11
Source: the Materials Project database
Functional: PBE
Structure: relaxed

Unit cell a=6.648 b=12.802 c=25.794 alpha=90.00 beta=90.00 gamma=90.00
Sites, in units of the cell vectors:
1 O 0.963 0.105 0.093
2 O 0.936 0.135 0.871
3 Pb 0.305 0.032 0.332
4 O 0.537 0.605 0.907
5 Pb 0.693 0.162 0.778
6 O 0.890 0.171 0.565
7 Pb 0.807 0.035 0.416
8 Li 0.028 0.744 0.373
9 Li 0.472 0.744 0.873
10 Pb 0.195 0.032 0.832
11 Pb 0.305 0.532 0.168
12 O 0.890 0.671 0.935
13 O 0.107 0.524 0.824
14 O 0.571 0.418 0.220
15 O 0.364 0.888 0.502
16 O 0.364 0.388 0.998
17 O 0.136 0.888 0.002
18 O 0.553 0.220 0.925
19 Pb 0.307 0.838 0.222
20 O 0.799 0.478 0.940
21 O 0.864 0.612 0.502
22 P 0.716 0.593 0.945
23 Pb 0.805 0.468 0.332
24 P 0.284 0.907 0.445
25 O 0.564 0.135 0.371
26 O 0.136 0.388 0.498
27 O 0.923 0.810 0.661
28 Pb 0.193 0.465 0.916
29 O 0.077 0.190 0.339
30 Pb 0.193 0.965 0.584
31 O 0.107 0.024 0.676
32 B 0.030 0.258 0.379
33 O 0.577 0.310 0.339
34 O 0.780 0.285 0.167
35 O 0.720 0.785 0.833
36 O 0.097 0.648 0.746
37 O 0.537 0.105 0.593
38 O 0.110 0.329 0.065
39 Pb 0.209 0.180 0.990
40 Pb 0.791 0.820 0.010
41 P 0.284 0.407 0.055
42 O 0.299 0.522 0.560
43 O 0.864 0.112 0.998
44 B 0.970 0.742 0.621
45 P 0.784 0.093 0.055
46 Pb 0.307 0.465 0.416
47 Li 0.528 0.756 0.373
48 O 0.423 0.690 0.661
49 Li 0.472 0.244 0.627
50 O 0.423 0.190 0.839
51 O 0.053 0.780 0.575
52 Pb 0.695 0.968 0.668
53 O 0.597 0.852 0.746
54 O 0.720 0.285 0.667
55 Pb 0.807 0.162 0.278
56 O 0.610 0.171 0.065
57 O 0.201 0.522 0.060
58 O 0.893 0.476 0.176
59 B 0.970 0.242 0.879
60 O 0.097 0.148 0.754
61 O 0.299 0.022 0.940
62 O 0.571 0.918 0.280
63 O 0.280 0.715 0.333
64 B 0.530 0.242 0.379
65 O 0.447 0.280 0.425
66 O 0.053 0.280 0.925
67 Pb 0.307 0.338 0.278
68 P 0.785 0.882 0.297
69 O 0.463 0.895 0.407
70 Pb 0.209 0.680 0.510
71 O 0.577 0.810 0.161
72 Pb 0.807 0.535 0.084
73 O 0.607 0.476 0.676
74 O 0.701 0.978 0.060
75 Pb 0.709 0.820 0.510
76 O 0.701 0.478 0.440
77 O 0.893 0.976 0.324
78 P 0.715 0.882 0.797
79 Pb 0.695 0.468 0.832
80 O 0.201 0.022 0.440
81 O 0.390 0.829 0.935
82 O 0.064 0.865 0.129
83 P 0.285 0.618 0.297
84 O 0.610 0.671 0.435
85 B 0.530 0.742 0.121
86 B 0.030 0.758 0.121
87 O 0.393 0.024 0.176
88 O 0.564 0.635 0.129
89 O 0.429 0.582 0.780
90 Pb 0.807 0.662 0.222
91 O 0.903 0.352 0.254
92 O 0.429 0.082 0.720
93 O 0.071 0.582 0.280
94 O 0.403 0.648 0.246
95 O 0.436 0.365 0.871
96 P 0.716 0.093 0.555
97 Pb 0.291 0.180 0.490
98 Pb 0.193 0.338 0.778
99 O 0.220 0.715 0.833
100 Pb 0.693 0.035 0.916
101 O 0.903 0.852 0.246
102 Pb 0.291 0.680 0.010
103 O 0.947 0.220 0.425
104 P 0.285 0.118 0.203
105 Li 0.972 0.256 0.627
106 P 0.216 0.907 0.945
107 Pb 0.195 0.532 0.668
108 P 0.215 0.118 0.703
109 O 0.553 0.720 0.575
110 O 0.037 0.895 0.907
111 O 0.597 0.352 0.754
112 Li 0.528 0.256 0.127
113 O 0.220 0.215 0.667
114 O 0.077 0.690 0.161
115 O 0.463 0.395 0.093
116 O 0.037 0.395 0.593
117 O 0.390 0.329 0.565
118 O 0.436 0.865 0.629
119 B 0.470 0.258 0.879
120 O 0.799 0.978 0.560
121 O 0.280 0.215 0.167
122 O 0.963 0.605 0.407
123 P 0.784 0.593 0.445
124 Pb 0.709 0.320 0.990
125 O 0.923 0.310 0.839
126 O 0.929 0.918 0.780
127 O 0.780 0.785 0.333
128 O 0.393 0.524 0.324
129 P 0.215 0.618 0.797
130 O 0.064 0.365 0.371
131 Pb 0.791 0.320 0.490
132 Pb 0.693 0.662 0.722
133 Pb 0.693 0.535 0.584
134 O 0.636 0.112 0.498
135 O 0.071 0.082 0.220
136 Pb 0.193 0.838 0.722
137 O 0.929 0.418 0.720
138 P 0.216 0.407 0.555
139 B 0.470 0.758 0.621
140 Pb 0.805 0.968 0.168
141 O 0.403 0.148 0.254
142 Li 0.028 0.244 0.127
143 P 0.785 0.382 0.203
144 O 0.636 0.612 0.002
145 O 0.936 0.635 0.629
146 O 0.947 0.720 0.075
147 O 0.607 0.976 0.824
148 P 0.715 0.382 0.703
149 Pb 0.307 0.965 0.084
150 O 0.110 0.829 0.435
151 O 0.447 0.780 0.075
152 Li 0.972 0.756 0.873

Calculated values
As for the total magnetization: 0.00 μB per formula unit. The space group is Pbca (61). The volume comes out at 14.44 Å³ per atom. As for the density: 6.56 g/cm³. As for the total energy: -6.6075 eV/atom.


5.
Compound: V2N3
Source: the Materials Project database
Functional: PBE
Structure: relaxed

Unit cell a=2.818 b=2.818 c=6.257 alpha=90.00 beta=90.00 gamma=120.00
Sites, in units of the cell vectors:
1 N 0.000 0.000 0.893
2 V 0.667 0.333 0.302
3 N 0.000 0.000 0.500
4 V 0.333 0.667 0.698
5 N 0.000 0.000 0.107

Calculated values
As for the total magnetization: 0.00 μB per formula unit. The space group is P-3m1 (164). The volume comes out at 8.61 Å³ per atom. As for the density: 5.55 g/cm³. As for the total energy: -9.3965 eV/atom.


6.
Compound: MgAlSi4O15
Source: the Materials Project database
Functional: PBE
Structure: relaxed

Unit cell a=11.142 b=11.142 c=5.284 alpha=84.20 beta=84.20 gamma=104.74
Sites, in units of the cell vectors:
1 Si 0.042 0.379 0.615
2 O 0.864 0.650 0.617
3 O 0.042 0.042 0.557
4 Al 0.835 0.165 0.000
5 O 0.350 0.136 0.383
6 O 0.801 0.027 0.841
7 Si 0.706 0.885 0.888
8 Si 0.958 0.621 0.385
9 Si 0.885 0.706 0.888
10 O 0.136 0.350 0.383
11 O 0.383 0.617 0.500
12 O 0.741 0.083 0.305
13 O 0.027 0.801 0.841
14 O 0.754 0.322 0.059
15 O 0.000 0.500 0.500
16 Si 0.294 0.115 0.112
17 O 0.409 0.591 0.000
18 O 0.500 0.000 0.500
19 O 0.400 0.115 0.869
20 O 0.678 0.246 0.941
21 O 0.259 0.917 0.695
22 O 0.083 0.741 0.305
23 Si 0.621 0.958 0.385
24 O 0.958 0.958 0.443
25 O 0.973 0.199 0.159
26 O 0.917 0.259 0.695
27 O 0.199 0.973 0.159
28 O 0.221 0.221 0.044
29 O 0.322 0.754 0.059
30 Si 0.115 0.294 0.112
31 Si 0.379 0.042 0.615
32 O 0.591 0.409 0.000
33 O 0.779 0.779 0.956
34 O 0.246 0.678 0.941
35 O 0.617 0.383 0.500
36 Mg 0.889 0.111 0.500
37 O 0.650 0.864 0.617
38 O 0.600 0.885 0.131
39 O 0.115 0.400 0.869
40 Al 0.165 0.835 0.000
41 O 0.885 0.600 0.131
42 Mg 0.111 0.889 0.500

Calculated values
As for the total magnetization: 6.00 μB per formula unit. The space group is C2/m (12). The volume comes out at 14.90 Å³ per atom. As for the density: 2.14 g/cm³. As for the total energy: -6.7022 eV/atom.


7.
Compound: MgMo3Se4S2
Source: the Materials Project database
Functional: PBE
Structure: relaxed

Unit cell a=3.275 b=3.275 c=30.248 alpha=90.00 beta=90.00 gamma=120.00
Sites, in units of the cell vectors:
1 Se 0.667 0.333 0.060
2 Se 0.667 0.333 0.634
3 Mo 0.333 0.667 0.116
4 Mo 0.333 0.667 0.578
5 Mo 0.667 0.333 0.347
6 S 0.333 0.667 0.398
7 Mg 0.000 0.000 0.846
8 Se 0.667 0.333 0.172
9 S 0.333 0.667 0.296
10 Se 0.667 0.333 0.522

Calculated values
As for the total magnetization: 0.01 μB per formula unit. The space group is P3m1 (156). The volume comes out at 28.10 Å³ per atom. As for the density: 4.09 g/cm³. As for the total energy: -6.2257 eV/atom.


8.
Compound: HgS
Source: the Materials Project database
Functional: PBE
Structure: relaxed

Unit cell a=4.248 b=4.248 c=4.248 alpha=60.00 beta=60.00 gamma=60.00
Sites, in units of the cell vectors:
1 S 0.750 0.750 0.750
2 Hg 0.000 0.000 0.000

Calculated values
The space group is F-43m (216). The volume comes out at 27.10 Å³ per atom. As for the density: 7.13 g/cm³. As for the total energy: -2.3476 eV/atom.


9.
Compound: RbInBr4
Source: the Materials Project database
Functional: PBE
Structure: relaxed

Unit cell a=8.299 b=10.984 c=10.953 alpha=90.00 beta=90.00 gamma=90.00
Sites, in units of the cell vectors:
1 In 0.250 0.821 0.500
2 Br 0.492 0.817 0.043
3 Br 0.008 0.817 0.957
4 Br 0.343 0.948 0.682
5 Rb 0.819 0.750 0.250
6 Br 0.843 0.052 0.682
7 Br 0.508 0.317 0.543
8 Br 0.992 0.183 0.043
9 Br 0.657 0.052 0.318
10 Br 0.008 0.683 0.543
11 In 0.250 0.679 0.000
12 Br 0.157 0.552 0.182
13 Br 0.508 0.183 0.957
14 Br 0.657 0.448 0.182
15 In 0.750 0.179 0.500
16 Rb 0.319 0.250 0.250
17 Rb 0.681 0.750 0.750
18 Br 0.157 0.948 0.318
19 Br 0.843 0.448 0.818
20 Br 0.492 0.683 0.457
21 Br 0.343 0.552 0.818
22 In 0.750 0.321 0.000
23 Br 0.992 0.317 0.457
24 Rb 0.181 0.250 0.750

Calculated values
The space group is Pnna (52). The volume comes out at 41.60 Å³ per atom. As for the density: 3.46 g/cm³. As for the total energy: -2.9112 eV/atom.


10.
Compound: Mg6BiB
Source: the Materials Project database
Functional: PBE
Structure: relaxed

Unit cell a=6.745 b=6.745 c=3.885 alpha=90.00 beta=90.00 gamma=98.76
Sites, in units of the cell vectors:
1 Mg 0.150 0.850 0.000
2 Mg 0.405 0.114 0.500
3 Mg 0.049 0.285 0.000
4 B 0.775 0.225 0.500
5 Mg 0.715 0.951 0.000
6 Mg 0.886 0.595 0.500
7 Mg 0.633 0.367 0.000
8 Bi 0.385 0.615 0.500

Calculated values
As for the total magnetization: 0.00 μB per formula unit. The space group is Amm2 (38). The volume comes out at 21.83 Å³ per atom. As for the density: 3.48 g/cm³. As for the total energy: -2.3308 eV/atom.


Question: Which of these has the highest volume?
Answer: RbInBr4